First-principles (PBE with a Hubbard U) data for a relaxed structure of RbNi2F6, as listed in Materials Project. Values from VASP.

Geometry as Quantum ESPRESSO input:
```
&SYSTEM
  ibrav = 0, nat = 18, ntyp = 3
/
ATOMIC_SPECIES
Rb 85.47 Rb.upf
Ni 58.69 Ni.upf
F 19.00 F.upf
ATOMIC_POSITIONS crystal
Rb 0.116 0.366 0.750
Rb 0.884 0.634 0.250
Ni 0.500 0.000 0.000
Ni 0.500 0.500 0.500
Ni 0.500 0.000 0.500
Ni 0.000 0.000 0.000
F 0.828 0.062 0.140
F 0.583 0.333 0.250
F 0.172 0.938 0.860
F 0.417 0.667 0.750
F 0.577 0.938 0.266
F 0.821 0.071 0.750
F 0.179 0.929 0.250
F 0.828 0.689 0.766
F 0.577 0.311 0.640
F 0.423 0.689 0.360
F 0.423 0.062 0.734
F 0.172 0.311 0.234
CELL_PARAMETERS angstrom
-6.124 -3.117 2.028
-1.848 6.186 3.106
1.665 -0.206 -6.965
```

Values from the calculation:
Space group: Imma, No. 74
E in eV per atom: -4.130
ΔH_f (0 K) in eV per atom: -2.333